[1]
A plane-wave DFT calculation with PBE with a Hubbard U was carried out for an optimized crystal structure of Sr2MgCdWO6.

a b c (Å): 5.981 5.981 6.476
angles (deg): 120.11 120.11 84.16
Atoms (fractional coordinates):
1 Sr 0.200 0.800 0.000
2 Sr 0.800 0.200 0.000
3 Mg 0.171 0.171 0.715
4 Cd 0.749 0.749 0.382
5 W 0.432 0.432 0.535
6 O 0.143 0.143 0.388
7 O 0.182 0.723 0.564
8 O 0.263 0.263 0.091
9 O 0.497 0.497 0.927
10 O 0.723 0.182 0.564
11 O 0.725 0.725 0.698

Calculated values
- ΔH_f (0 K): -2.293 eV per atom
- ΔE to the lowest computed polymorph: 67 meV per atom
- Raw total energy: -0.21786 Ha/atom
- Total moment: 2.00 μB per cell

***

[2]
A plane-wave DFT calculation with PBE with a Hubbard U was carried out for an optimized crystal structure of Sr2ZrWO6.

a b c (Å): 5.861 5.861 5.861
angles (deg): 60.00 60.00 60.00
Atoms (fractional coordinates):
1 Sr 0.250 0.250 0.250
2 Sr 0.750 0.750 0.750
3 Zr 0.000 0.000 0.000
4 W 0.500 0.500 0.500
5 O 0.253 0.253 0.747
6 O 0.253 0.747 0.253
7 O 0.253 0.747 0.747
8 O 0.747 0.253 0.253
9 O 0.747 0.253 0.747
10 O 0.747 0.747 0.253

Calculated values
- ΔH_f (0 K): -3.037 eV per atom
- Raw total energy: -0.28070 Ha/atom
- Total moment: 2.00 μB per cell

***

[3]
A plane-wave DFT calculation with PBE with a Hubbard U was carried out for an optimized crystal structure of FeOF.

a b c (Å): 9.482 3.111 14.172
angles (deg): 90.00 90.01 90.00
Atoms (fractional coordinates):
1 Fe 0.000 0.000 0.000
2 Fe 0.000 0.000 0.334
3 Fe 0.005 0.000 0.662
4 Fe 0.253 0.500 0.192
5 Fe 0.256 0.500 0.521
6 Fe 0.285 0.500 0.836
7 Fe 0.497 0.000 0.667
8 Fe 0.503 0.000 0.998
9 Fe 0.504 0.000 0.331
10 Fe 0.754 0.500 0.854
11 Fe 0.755 0.500 0.192
12 Fe 0.785 0.500 0.502
13 O 0.158 0.000 0.240
14 O 0.164 0.000 0.575
15 O 0.363 0.000 0.774
16 O 0.408 0.500 0.946
17 O 0.412 0.500 0.278
18 O 0.419 0.500 0.605
19 O 0.661 0.000 0.908
20 O 0.662 0.000 0.242
21 O 0.863 0.000 0.440
22 O 0.910 0.500 0.612
23 O 0.914 0.500 0.274
24 O 0.916 0.500 0.942
25 F 0.105 0.500 0.745
26 F 0.109 0.500 0.070
27 F 0.115 0.500 0.408
28 F 0.164 0.000 0.906
29 F 0.357 0.000 0.111
30 F 0.358 0.000 0.443
31 F 0.605 0.500 0.410
32 F 0.609 0.500 0.075
33 F 0.616 0.500 0.736
34 F 0.666 0.000 0.572
35 F 0.859 0.000 0.778
36 F 0.860 0.000 0.109

Calculated values
- ΔH_f (0 K): -2.045 eV per atom
- Raw total energy: -0.22127 Ha/atom
- Total moment: 60.00 μB per cell

***

- Which formula does entry 3 have?
  FeOF

***

- Which of these has the highest ΔH_f (0 K)?
  FeOF

***

- Which formula does entry 2 have?
  Sr2ZrWO6

***

- Which value of total moment does entry 3 give?
  60.00 μB per cell